Crystalline Nb3FeSe10 at its relaxed geometry, computed with GGA-PBE.

Unit cell a=9.4066 b=3.5317 c=10.2117 alpha=90.00 beta=113.16 gamma=90.00
Positions (direct):
Nb: 0.0000 0.0000 0.0000
Nb: 0.1784 0.5000 0.7150
Nb: 0.4447 0.5000 0.2719
Fe: 0.2700 0.0000 0.5321
Se: 0.0773 0.5000 0.4562
Se: 0.2117 0.5000 0.0018
Se: 0.2378 0.0000 0.2791
Se: 0.3925 0.0000 0.7880
Se: 0.4565 0.5000 0.5431
Se: 0.5577 0.0000 0.1410
Se: 0.6770 0.0000 0.3924
Se: 0.7691 0.5000 0.8768
Se: 0.8844 0.5000 0.1289
Se: 0.9659 0.0000 0.7193

***

Crystalline Nb4FeSe8 at its relaxed geometry, computed with GGA-PBE.

Unit cell a=6.9952 b=6.9952 c=12.9535 alpha=90.00 beta=90.00 gamma=120.00
Positions (direct):
Nb: 0.0000 0.0000 0.2500
Nb: 0.0000 0.0000 0.7500
Nb: 0.0107 0.5053 0.2500
Nb: 0.4947 0.5053 0.2500
Nb: 0.4947 0.9893 0.2500
Nb: 0.5053 0.0107 0.7500
Nb: 0.5053 0.4947 0.7500
Nb: 0.9893 0.4947 0.7500
Fe: 0.0000 0.0000 0.0000
Fe: 0.0000 0.0000 0.5000
Se: 0.1680 0.3360 0.6207
Se: 0.1680 0.3360 0.8793
Se: 0.1680 0.8320 0.6207
Se: 0.1680 0.8320 0.8793
Se: 0.3333 0.6667 0.1183
Se: 0.3333 0.6667 0.3817
Se: 0.3360 0.1680 0.1207
Se: 0.3360 0.1680 0.3793
Se: 0.6640 0.8320 0.6207
Se: 0.6640 0.8320 0.8793
Se: 0.6667 0.3333 0.6183
Se: 0.6667 0.3333 0.8817
Se: 0.8320 0.1680 0.1207
Se: 0.8320 0.1680 0.3793
Se: 0.8320 0.6640 0.1207
Se: 0.8320 0.6640 0.3793

***

Crystalline NbFeSe5 at its relaxed geometry, computed with GGA-PBE.

Unit cell a=9.4148 b=3.4702 c=10.3005 alpha=90.00 beta=113.71 gamma=90.00
Positions (direct):
Nb: 0.2243 0.2500 0.1329
Nb: 0.7757 0.7500 0.8671
Fe: 0.0516 0.7500 0.4026
Fe: 0.9484 0.2500 0.5974
Se: 0.0128 0.7500 0.1371
Se: 0.1457 0.7500 0.6570
Se: 0.2474 0.2500 0.4094
Se: 0.3334 0.7500 0.9986
Se: 0.4557 0.7500 0.2562
Se: 0.5443 0.2500 0.7438
Se: 0.6666 0.2500 0.0014
Se: 0.7526 0.7500 0.5906
Se: 0.8543 0.2500 0.3430
Se: 0.9872 0.2500 0.8629

***

Crystalline TaNb2FeSe10 at its relaxed geometry, computed with GGA-PBE.

Unit cell a=9.6920 b=3.5414 c=10.1736 alpha=90.00 beta=112.33 gamma=90.00
Positions (direct):
Ta: 0.0000 0.0000 0.0000
Nb: 0.2554 0.0000 0.5561
Nb: 0.8256 0.5000 0.2907
Fe: 0.0839 0.5000 0.8147
Se: 0.0295 0.0000 0.2866
Se: 0.0549 0.5000 0.5632
Se: 0.2054 0.5000 0.0720
Se: 0.2649 0.0000 0.8267
Se: 0.3698 0.5000 0.4273
Se: 0.4781 0.5000 0.6781
Se: 0.6043 0.0000 0.1673
Se: 0.7076 0.0000 0.4186
Se: 0.7991 0.5000 0.0099
Se: 0.8970 0.0000 0.7415

***

Crystalline Nb5VFe2Se20 at its relaxed geometry, computed with GGA-PBE.

Unit cell a=9.3956 b=3.5270 c=18.8912 alpha=90.00 beta=93.83 gamma=90.00
Positions (direct):
Nb: 0.0000 0.0000 0.0000
Nb: 0.0076 0.0000 0.2771
Nb: 0.3182 0.5000 0.1407
Nb: 0.5076 0.0000 0.7765
Nb: 0.8168 0.5000 0.6399
V: 0.5055 0.0000 0.5017
Fe: 0.3093 0.5000 0.4090
Fe: 0.8125 0.5000 0.9086
Se: 0.1069 0.0000 0.1421
Se: 0.1289 0.0000 0.4128
Se: 0.2168 0.5000 0.0017
Se: 0.2202 0.5000 0.2810
Se: 0.3291 0.5000 0.7110
Se: 0.3353 0.5000 0.8370
Se: 0.3357 0.5000 0.5346
Se: 0.4732 0.0000 0.3778
Se: 0.4902 0.0000 0.0795
Se: 0.4957 0.0000 0.2053
Se: 0.6050 0.0000 0.6398
Se: 0.6294 0.0000 0.9129
Se: 0.7079 0.5000 0.5025
Se: 0.7194 0.5000 0.7805
Se: 0.8219 0.5000 0.0373
Se: 0.8288 0.5000 0.2115
Se: 0.8345 0.5000 0.3373
Se: 0.9714 0.0000 0.8709
Se: 0.9883 0.0000 0.5785
Se: 0.9954 0.0000 0.7045

***

Crystalline Nb5VFe2Se20 at its relaxed geometry, computed with GGA-PBE.

Unit cell a=6.9595 b=10.2640 c=10.8395 alpha=62.40 beta=71.93 gamma=70.43
Positions (direct):
Nb: 0.0000 0.0000 0.0000
Nb: 0.0733 0.1656 0.2786
Nb: 0.1683 0.4370 0.7302
Nb: 0.5104 0.9969 0.9974
Nb: 0.6730 0.4336 0.7287
V: 0.5957 0.2690 0.4582
Fe: 0.1502 0.2702 0.4675
Fe: 0.5200 0.1658 0.2651
Se: 0.0272 0.2312 0.7240
Se: 0.1556 0.2056 0.9978
Se: 0.2288 0.3814 0.2127
Se: 0.2809 0.4712 0.4524
Se: 0.3036 0.5490 0.8573
Se: 0.3043 0.7748 0.1232
Se: 0.3707 0.6608 0.6060
Se: 0.3712 0.8846 0.8719
Se: 0.4027 0.9593 0.2763
Se: 0.4500 0.0625 0.5183
Se: 0.5211 0.2287 0.7273
Se: 0.6477 0.2038 0.0053
Se: 0.7143 0.3534 0.2063
Se: 0.8001 0.4487 0.4574
Se: 0.7998 0.5471 0.8611
Se: 0.8126 0.7676 0.1192
Se: 0.8645 0.6642 0.6092
Se: 0.8679 0.9817 0.2739
Se: 0.8769 0.8851 0.8674
Se: 0.9495 0.0815 0.5356

***

Crystalline Nb4Fe3Si5 at its relaxed geometry, computed with GGA-PBE.

Unit cell a=4.9500 b=15.5516 c=12.9371 alpha=90.00 beta=90.00 gamma=90.00
Positions (direct):
Nb: 0.0000 0.0084 0.0000
Nb: 0.0000 0.0198 0.3728
Nb: 0.0000 0.1890 0.0670
Nb: 0.0000 0.1957 0.2976
Nb: 0.0000 0.2095 0.6905
Nb: 0.0000 0.4035 0.0275
Nb: 0.0000 0.4196 0.3010
Nb: 0.0000 0.5399 0.6593
Nb: 0.0000 0.6944 0.8618
Nb: 0.0000 0.7073 0.0938
Nb: 0.0000 0.7109 0.4918
Nb: 0.0000 0.9020 0.1852
Nb: 0.5000 0.0980 0.6852
Nb: 0.5000 0.2891 0.9918
Nb: 0.5000 0.2927 0.5938
Nb: 0.5000 0.3056 0.3618
Nb: 0.5000 0.4601 0.1593
Nb: 0.5000 0.5804 0.8010
Nb: 0.5000 0.5965 0.5275
Nb: 0.5000 0.7905 0.1905
Nb: 0.5000 0.8043 0.7976
Nb: 0.5000 0.8110 0.5670
Nb: 0.5000 0.9802 0.8728
Nb: 0.5000 0.9916 0.5000
Fe: 0.0000 0.8171 0.6825
Fe: 0.2469 0.6110 0.2989
Fe: 0.2468 0.8354 0.9972
Fe: 0.2494 0.5715 0.0013
Fe: 0.2499 0.1468 0.8775
Fe: 0.2501 0.8532 0.3775
Fe: 0.2506 0.4285 0.5013
Fe: 0.2532 0.1646 0.4972
Fe: 0.2531 0.3890 0.7989
Fe: 0.5000 0.1829 0.1825
Fe: 0.7468 0.1646 0.4972
Fe: 0.7469 0.3890 0.7989
Fe: 0.7494 0.4285 0.5013
Fe: 0.7501 0.1468 0.8775
Fe: 0.7499 0.8532 0.3775
Fe: 0.7506 0.5715 0.0013
Fe: 0.7531 0.6110 0.2989
Fe: 0.7532 0.8354 0.9972
Si: 0.0000 0.0482 0.7892
Si: 0.0000 0.0604 0.5797
Si: 0.0000 0.2770 0.8889
Si: 0.0000 0.2956 0.4683
Si: 0.0000 0.3711 0.6403
Si: 0.0000 0.5153 0.8623
Si: 0.0000 0.5406 0.1560
Si: 0.0000 0.5482 0.4450
Si: 0.0000 0.7498 0.2879
Si: 0.0000 0.8752 0.8531
Si: 0.0000 0.8880 0.5209
Si: 0.2327 0.0645 0.1864
Si: 0.2493 0.3105 0.1751
Si: 0.2507 0.6895 0.6751
Si: 0.2673 0.9355 0.6864
Si: 0.5000 0.1120 0.0209
Si: 0.5000 0.1248 0.3531
Si: 0.5000 0.2502 0.7879
Si: 0.5000 0.4518 0.9450
Si: 0.5000 0.4594 0.6560
Si: 0.5000 0.4847 0.3623
Si: 0.5000 0.6289 0.1403
Si: 0.5000 0.7044 0.9683
Si: 0.5000 0.7230 0.3889
Si: 0.5000 0.9396 0.0797
Si: 0.5000 0.9518 0.2892
Si: 0.7327 0.9355 0.6864
Si: 0.7493 0.6895 0.6751
Si: 0.7507 0.3105 0.1751
Si: 0.7673 0.0645 0.1864

***

Crystalline NbFeSi at its relaxed geometry, computed with GGA-PBE.

Unit cell a=6.2313 b=3.6828 c=7.1328 alpha=90.00 beta=90.00 gamma=90.00
Positions (direct):
Nb: 0.0243 0.2500 0.1821
Nb: 0.4757 0.7500 0.6821
Nb: 0.5243 0.2500 0.3179
Nb: 0.9757 0.7500 0.8179
Fe: 0.1410 0.2500 0.5603
Fe: 0.3590 0.7500 0.0603
Fe: 0.6410 0.2500 0.9397
Fe: 0.8590 0.7500 0.4397
Si: 0.2283 0.7500 0.3778
Si: 0.2717 0.2500 0.8778
Si: 0.7283 0.7500 0.1222
Si: 0.7717 0.2500 0.6222

***

Crystalline Nb4Fe3Si5 at its relaxed geometry, computed with GGA-PBE.

Unit cell a=7.6599 b=4.9001 c=4.9001 alpha=60.62 beta=90.00 gamma=90.00
Positions (direct):
Nb: 0.1808 0.0000 0.0000
Nb: 0.3140 0.3339 0.3339
Nb: 0.6860 0.3339 0.3339
Nb: 0.8192 0.0000 0.0000
Fe: 0.2455 0.6633 0.6633
Fe: 0.5000 0.8354 0.8354
Fe: 0.7545 0.6633 0.6633
Si: 0.0000 0.0008 0.4980
Si: 0.0000 0.4963 0.4963
Si: 0.0000 0.4980 0.0008
Si: 0.5000 0.3294 0.8329
Si: 0.5000 0.8329 0.3294

***

Crystalline NbFeSi at its relaxed geometry, computed with GGA-PBE.

Unit cell a=4.8968 b=15.5180 c=12.7850 alpha=90.00 beta=90.00 gamma=90.00
Positions (direct):
Nb: 0.0000 0.0073 0.1266
Nb: 0.0000 0.0210 0.5000
Nb: 0.0000 0.1884 0.1949
Nb: 0.0000 0.1975 0.4250
Nb: 0.0000 0.2089 0.8134
Nb: 0.0000 0.4037 0.1537
Nb: 0.0000 0.4198 0.4288
Nb: 0.0000 0.5386 0.7859
Nb: 0.0000 0.6952 0.9912
Nb: 0.0000 0.7078 0.2205
Nb: 0.0000 0.7127 0.6185
Nb: 0.0000 0.8993 0.3122
Nb: 0.5000 0.1007 0.8122
Nb: 0.5000 0.2873 0.1185
Nb: 0.5000 0.2922 0.7205
Nb: 0.5000 0.3048 0.4912
Nb: 0.5000 0.4614 0.2859
Nb: 0.5000 0.5802 0.9288
Nb: 0.5000 0.5963 0.6537
Nb: 0.5000 0.7911 0.3134
Nb: 0.5000 0.8025 0.9250
Nb: 0.5000 0.8116 0.6949
Nb: 0.5000 0.9790 0.0000
Nb: 0.5000 0.9927 0.6266
Fe: 0.0000 0.0493 0.7171
Fe: 0.0000 0.8090 0.8108
Fe: 0.2396 0.0600 0.3139
Fe: 0.2474 0.6114 0.4267
Fe: 0.2483 0.1600 0.6246
Fe: 0.2495 0.4284 0.6278
Fe: 0.2485 0.8565 0.5077
Fe: 0.2515 0.1435 0.0077
Fe: 0.2505 0.5716 0.1278
Fe: 0.2517 0.8400 0.1246
Fe: 0.2526 0.3886 0.9267
Fe: 0.2604 0.9400 0.8139
Fe: 0.5000 0.1910 0.3108
Fe: 0.5000 0.9507 0.2171
Fe: 0.7396 0.9400 0.8139
Fe: 0.7474 0.3886 0.9267
Fe: 0.7483 0.8400 0.1246
Fe: 0.7485 0.1435 0.0077
Fe: 0.7495 0.5716 0.1278
Fe: 0.7505 0.4284 0.6278
Fe: 0.7515 0.8565 0.5077
Fe: 0.7517 0.1600 0.6246
Fe: 0.7526 0.6114 0.4267
Fe: 0.7604 0.0600 0.3139
Si: 0.0000 0.0470 0.9083
Si: 0.0000 0.2752 0.0153
Si: 0.0000 0.2955 0.5953
Si: 0.0000 0.3707 0.7674
Si: 0.0000 0.5153 0.9901
Si: 0.0000 0.5416 0.2826
Si: 0.0000 0.5482 0.5722
Si: 0.0000 0.7502 0.4163
Si: 0.0000 0.8814 0.9721
Si: 0.0000 0.8964 0.6579
Si: 0.2476 0.3131 0.3017
Si: 0.2524 0.6869 0.8017
Si: 0.5000 0.1036 0.1579
Si: 0.5000 0.1186 0.4721
Si: 0.5000 0.2498 0.9163
Si: 0.5000 0.4518 0.0722
Si: 0.5000 0.4584 0.7826
Si: 0.5000 0.4847 0.4901
Si: 0.5000 0.6293 0.2674
Si: 0.5000 0.7045 0.0953
Si: 0.5000 0.7248 0.5153
Si: 0.5000 0.9530 0.4083
Si: 0.7476 0.6869 0.8017
Si: 0.7524 0.3131 0.3017

***

Crystalline NbFeSi at its relaxed geometry, computed with GGA-PBE.

Unit cell a=3.6051 b=9.1977 c=4.9540 alpha=90.00 beta=90.00 gamma=90.00
Positions (direct):
Nb: 0.0000 0.2105 0.2500
Nb: 0.0000 0.7895 0.7500
Nb: 0.5000 0.2895 0.7500
Nb: 0.5000 0.7105 0.2500
Fe: 0.0000 0.5000 0.0000
Fe: 0.0000 0.5000 0.5000
Fe: 0.5000 0.0000 0.0000
Fe: 0.5000 0.0000 0.5000
Si: 0.0000 0.0831 0.7500
Si: 0.0000 0.9169 0.2500
Si: 0.5000 0.4169 0.2500
Si: 0.5000 0.5831 0.7500

***

Crystalline TiNbFe4 at its relaxed geometry, computed with GGA-PBE.

Unit cell a=4.7358 b=4.7358 c=7.8450 alpha=90.00 beta=90.00 gamma=120.00
Positions (direct):
Ti: 0.3333 0.6667 0.0613
Ti: 0.6667 0.3333 0.9387
Nb: 0.3333 0.6667 0.4290
Nb: 0.6667 0.3333 0.5710
Fe: 0.0000 0.0000 0.0000
Fe: 0.0000 0.0000 0.5000
Fe: 0.1703 0.3406 0.7528
Fe: 0.1703 0.8297 0.7528
Fe: 0.3406 0.1703 0.2472
Fe: 0.6594 0.8297 0.7528
Fe: 0.8297 0.1703 0.2472
Fe: 0.8297 0.6594 0.2472

***

Crystalline Nd2Fe17 at its relaxed geometry, computed with GGA-PBE.

Unit cell a=6.4680 b=6.4680 c=6.4680 alpha=83.13 beta=83.13 gamma=83.13
Positions (direct):
Nd: 0.1581 0.1581 0.1581
Nd: 0.8419 0.8419 0.8419
Fe: 0.0000 0.5000 0.5000
Fe: 0.1586 0.1586 0.6539
Fe: 0.1586 0.6539 0.1586
Fe: 0.2106 0.5000 0.7894
Fe: 0.2106 0.7894 0.5000
Fe: 0.3461 0.8414 0.8414
Fe: 0.4030 0.4030 0.4030
Fe: 0.5000 0.0000 0.5000
Fe: 0.5000 0.2106 0.7894
Fe: 0.5000 0.5000 0.0000
Fe: 0.5000 0.7894 0.2106
Fe: 0.5970 0.5970 0.5970
Fe: 0.6539 0.1586 0.1586
Fe: 0.7894 0.2106 0.5000
Fe: 0.7894 0.5000 0.2106
Fe: 0.8414 0.3461 0.8414
Fe: 0.8414 0.8414 0.3461

***

| no. | DFT formation energy (eV per atom) |
| --- | --- |
| 1 | -0.949 |
| 2 | -1.079 |
| 3 | -0.795 |
| 4 | -0.951 |
| 5 | -0.932 |
| 6 | -0.924 |
| 7 | -0.559 |
| 8 | -0.581 |
| 9 | -0.526 |
| 10 | -0.544 |
| 11 | -0.544 |
| 12 | -0.196 |
| 13 | 0.323 |